# 1
Zr6BI12 | the Materials Project | meta-GGA r2SCAN | optimized geometry; magnetization = 0.0515 μB per atom; calculated formation energy = -1.14 eV per atom; ρ = 5.3 g cm⁻³; total energy = -24.2180 eV/atom
1.0
-7.2501 4.2068 -3.8675
-1.9958 -1.1789 8.9356
7.1023 5.8806 -0.4410
I Zr B
12 6 1
direct
0.8556 0.5546 0.6297 I
0.6914 0.0789 0.2254 I
0.0789 0.2254 0.6914 I
0.2254 0.6914 0.0789 I
0.3086 0.9211 0.7746 I
0.3703 0.1444 0.4454 I
0.1444 0.4454 0.3703 I
0.6297 0.8556 0.5546 I
0.5546 0.6297 0.8556 I
0.7746 0.3086 0.9211 I
0.9211 0.7746 0.3086 I
0.4454 0.3703 0.1444 I
0.0280 0.0904 0.2741 Zr
0.0904 0.2741 0.0280 Zr
0.7259 0.9720 0.9096 Zr
0.2741 0.0280 0.0904 Zr
0.9096 0.7259 0.9720 Zr
0.9720 0.9096 0.7259 Zr
0.0000 0.0000 0.0000 B

***

# 2
K3BiCl6 | the Materials Project | meta-GGA r2SCAN | optimized geometry; magnetization = 0.0000 μB per atom; calculated formation energy = -1.68 eV per atom; ρ = 2.5 g cm⁻³; total energy = -13.0278 eV/atom
1.0
3.9559 -6.8814 -0.4210
-2.2788 -6.1734 4.4582
-3.3881 -6.3297 -3.4111
K Cl Bi
3 6 1
direct
0.2500 0.2500 0.2500 K
0.7500 0.7500 0.7500 K
0.5000 0.5000 0.5000 K
0.2392 0.7608 0.2392 Cl
0.7608 0.2392 0.7608 Cl
0.2392 0.2392 0.7608 Cl
0.2392 0.7608 0.7608 Cl
0.7608 0.2392 0.2392 Cl
0.7608 0.7608 0.2392 Cl
0.0000 0.0000 0.0000 Bi

***

# 3
YbBRh3 | the Materials Project | meta-GGA r2SCAN | optimized geometry; magnetization = 0.1445 μB per atom; calculated formation energy = -0.89 eV per atom; ρ = 11.5 g cm⁻³; total energy = -24.1509 eV/atom
1.0
4.1445 0.0000 0.0000
0.0000 4.1445 0.0000
0.0000 0.0000 4.1445
B Rh Yb
1 3 1
direct
0.5000 0.5000 0.5000 B
0.5000 0.5000 0.0000 Rh
0.5000 0.0000 0.5000 Rh
0.0000 0.5000 0.5000 Rh
0.0000 0.0000 0.0000 Yb

***

# 4
EuZnGa | the Materials Project | meta-GGA r2SCAN | optimized geometry; magnetization = 2.3397 μB per atom; calculated formation energy = -0.50 eV per atom; ρ = 7.2 g cm⁻³; total energy = -20.1229 eV/atom
1.0
-5.2658 1.8900 -1.4282
-3.6123 -1.2602 -4.3248
-6.6375 -3.6115 0.1386
Eu Ga Zn
2 2 2
direct
0.4579 0.4579 0.2968 Eu
0.5421 0.5421 0.7032 Eu
0.8388 0.8388 0.1055 Ga
0.1612 0.1612 0.8945 Ga
0.8342 0.8342 0.7254 Zn
0.1658 0.1658 0.2746 Zn

***

# 5
VAsO5 | the Materials Project | meta-GGA r2SCAN | optimized geometry; magnetization = 0.0000 μB per atom; calculated formation energy = -1.83 eV per atom; ρ = 3.8 g cm⁻³; total energy = -10.2135 eV/atom; E above lowest polymorph = 0 meV per atom
1.0
6.3682 0.0000 0.0000
0.0000 7.3454 0.0000
0.0000 0.0000 7.6956
O V As
20 4 4
direct
0.7500 0.4904 0.3037 O
0.5403 0.7597 0.1199 O
0.2500 0.5096 0.6963 O
0.7500 0.3239 0.6329 O
0.7500 0.4975 0.9344 O
0.7500 0.0096 0.8037 O
0.2500 0.5025 0.0656 O
0.9597 0.7403 0.6199 O
0.4597 0.2597 0.3801 O
0.0403 0.2403 0.8801 O
0.7500 0.1761 0.1329 O
0.2500 0.8239 0.8671 O
0.7500 0.0025 0.4344 O
0.9597 0.7597 0.1199 O
0.2500 0.6761 0.3671 O
0.2500 0.9975 0.5656 O
0.4597 0.2403 0.8801 O
0.5403 0.7403 0.6199 O
0.0403 0.2597 0.3801 O
0.2500 0.9904 0.1963 O
0.7500 0.2606 0.8319 V
0.2500 0.7394 0.1681 V
0.7500 0.2394 0.3319 V
0.2500 0.7606 0.6681 V
0.2500 0.1205 0.3798 As
0.7500 0.8795 0.6202 As
0.7500 0.6205 0.1202 As
0.2500 0.3795 0.8798 As

***

# 6
NaGeAu3 | the Materials Project | meta-GGA r2SCAN | optimized geometry; magnetization = 0.0000 μB per atom; calculated formation energy = -0.27 eV per atom; ρ = 12.2 g cm⁻³; total energy = -34.1046 eV/atom
1.0
9.0858 0.0000 0.0000
0.0000 9.0858 0.0000
0.0000 0.0000 9.0858
Au Na Ge
24 8 8
direct
0.2686 0.8643 0.9080 Au
0.3643 0.9080 0.2314 Au
0.9080 0.2686 0.8643 Au
0.8643 0.5920 0.7686 Au
0.9080 0.2314 0.3643 Au
0.7686 0.8643 0.5920 Au
0.0920 0.7686 0.6357 Au
0.2314 0.1357 0.4080 Au
0.1357 0.0920 0.7314 Au
0.4080 0.2314 0.1357 Au
0.6357 0.4080 0.2686 Au
0.7314 0.3643 0.5920 Au
0.2686 0.6357 0.4080 Au
0.0920 0.7314 0.1357 Au
0.6357 0.0920 0.7686 Au
0.3643 0.5920 0.7314 Au
0.8643 0.9080 0.2686 Au
0.7314 0.1357 0.0920 Au
0.4080 0.2686 0.6357 Au
0.2314 0.3643 0.9080 Au
0.5920 0.7686 0.8643 Au
0.7686 0.6357 0.0920 Au
0.1357 0.4080 0.2314 Au
0.5920 0.7314 0.3643 Au
0.0992 0.4008 0.5992 Na
0.5992 0.4008 0.9008 Na
0.4008 0.9008 0.5992 Na
0.9008 0.9008 0.9008 Na
0.0992 0.0992 0.0992 Na
0.5992 0.0992 0.4008 Na
0.9008 0.5992 0.4008 Na
0.4008 0.5992 0.0992 Na
0.3846 0.1154 0.8846 Ge
0.1154 0.6154 0.8846 Ge
0.3846 0.3846 0.3846 Ge
0.6154 0.6154 0.6154 Ge
0.8846 0.3846 0.1154 Ge
0.1154 0.8846 0.3846 Ge
0.6154 0.8846 0.1154 Ge
0.8846 0.1154 0.6154 Ge